The following is a PBE+U calculation of a geometry-optimized Ba6Mn5O16 structure, from the Materials Project.

Properties
As for the space group: Cmce (64). The calculation puts the raw total energy at -370.6 eV for the cell shown. The value obtained for the formation energy is -2.523 eV/atom.

a = 7.254 Å, b = 7.254 Å, c = 20.621 Å
α = 90.00°, β = 90.00°, γ = 132.86°
Atoms (fractional coordinates):
O: 0.853 0.147 0.000
O: 0.090 0.910 0.816
O: 0.444 0.989 0.884
O: 0.258 0.296 0.431
O: 0.388 0.612 0.814
O: 0.296 0.258 0.569
O: 0.647 0.353 0.500
O: 0.988 0.512 0.750
O: 0.489 0.944 0.384
O: 0.758 0.796 0.069
O: 0.204 0.242 0.069
O: 0.796 0.758 0.931
O: 0.056 0.511 0.384
O: 0.910 0.090 0.184
O: 0.888 0.112 0.686
O: 0.112 0.888 0.314
O: 0.488 0.012 0.750
O: 0.012 0.488 0.250
O: 0.353 0.647 0.500
O: 0.147 0.853 0.000
O: 0.512 0.988 0.250
O: 0.612 0.388 0.186
O: 0.511 0.056 0.616
O: 0.242 0.204 0.931
O: 0.410 0.590 0.316
O: 0.944 0.489 0.616
O: 0.704 0.742 0.431
O: 0.556 0.011 0.116
O: 0.590 0.410 0.684
O: 0.989 0.444 0.116
O: 0.011 0.556 0.884
O: 0.742 0.704 0.569
Ba: 0.356 0.644 0.978
Ba: 0.644 0.356 0.022
Ba: 0.621 0.379 0.336
Ba: 0.879 0.121 0.836
Ba: 0.413 0.587 0.179
Ba: 0.587 0.413 0.821
Ba: 0.379 0.621 0.664
Ba: 0.121 0.879 0.164
Ba: 0.913 0.087 0.321
Ba: 0.144 0.856 0.478
Ba: 0.087 0.913 0.679
Ba: 0.856 0.144 0.522
Mn: 0.500 0.500 0.500
Mn: 0.377 0.623 0.406
Mn: 0.250 0.750 0.311
Mn: 0.750 0.250 0.189
Mn: 0.623 0.377 0.594
Mn: 0.750 0.250 0.689
Mn: 0.250 0.750 0.811
Mn: 0.123 0.877 0.906
Mn: 0.000 0.000 0.000
Mn: 0.877 0.123 0.094


The following is a PBE+U calculation of a geometry-optimized CrO3 structure, from the Materials Project.

Properties
As for the space group: Amm2 (38). The calculation puts the raw total energy at -26.3 eV for the cell shown. The calculation puts the piezoelectric modulus e_max at 1.39 C/m². As for the magnetic moment: 0.0 μB per formula unit. The value obtained for the formation energy is -1.454 eV/atom.

a = 4.863 Å, b = 4.863 Å, c = 3.097 Å
α = 90.00°, β = 90.00°, γ = 119.45°
Atoms (fractional coordinates):
O: 0.818 0.514 0.000
O: 0.514 0.818 0.000
O: 0.042 0.042 0.500
Cr: 0.861 0.861 0.000


The following is a PBE+U calculation of a geometry-optimized Sr2MgMoO6 structure, from the Materials Project.

Properties
As for the space group: Fm-3m (225). The calculation puts the raw total energy at -66.8 eV for the cell shown. As for the magnetic moment: 0.0 μB per formula unit. The value obtained for the formation energy is -2.857 eV/atom.

a = 5.659 Å, b = 5.659 Å, c = 5.659 Å
α = 60.00°, β = 60.00°, γ = 60.00°
Atoms (fractional coordinates):
Sr: 0.750 0.750 0.750
Sr: 0.250 0.250 0.250
O: 0.243 0.757 0.243
O: 0.757 0.757 0.243
O: 0.243 0.243 0.757
O: 0.243 0.757 0.757
O: 0.757 0.243 0.243
O: 0.757 0.243 0.757
Mo: 0.000 0.000 0.000
Mg: 0.500 0.500 0.500


The following is a PBE+U calculation of a geometry-optimized MgFe6O6F6 structure, from the Materials Project.

Properties
As for the space group: P1 (1). The calculation puts the raw total energy at -113.0 eV for the cell shown. As for the magnetic moment: 28.0 μB per formula unit. The value obtained for the formation energy is -2.096 eV/atom.

a = 14.280 Å, b = 5.128 Å, c = 3.116 Å
α = 89.94°, β = 90.30°, γ = 87.55°
Atoms (fractional coordinates):
O: 0.576 0.746 0.986
O: 0.403 0.821 0.478
O: 0.763 0.320 0.991
O: 0.052 0.766 0.491
O: 0.738 0.839 0.490
O: 0.107 0.172 0.998
Fe: 0.803 0.505 0.492
Fe: 0.515 0.600 0.484
Fe: 0.127 0.433 0.501
Fe: 0.993 0.953 0.990
Fe: 0.382 0.038 0.977
Fe: 0.676 0.008 0.989
F: 0.211 0.697 0.984
F: 0.453 0.378 0.986
F: 0.932 0.166 0.490
F: 0.268 0.217 0.506
F: 0.604 0.225 0.488
F: 0.895 0.670 0.989
Mg: 0.182 0.933 0.481


The following is a PBE+U calculation of a geometry-optimized Ba2La4Mn5SnO18 structure, from the Materials Project.

Properties
As for the space group: P1 (1). The calculation puts the raw total energy at -226.2 eV for the cell shown. As for the magnetic moment: 19.1 μB per formula unit. The value obtained for the formation energy is -2.816 eV/atom.

a = 5.621 Å, b = 5.687 Å, c = 12.651 Å
α = 102.75°, β = 102.37°, γ = 89.95°
Atoms (fractional coordinates):
Ba: 0.916 0.417 0.828
Ba: 0.584 0.089 0.173
O: 0.905 0.404 0.329
O: 0.082 0.016 0.170
O: 0.415 0.340 0.824
O: 0.547 0.044 0.641
O: 0.231 0.719 0.990
O: 0.693 0.772 0.974
O: 0.046 0.085 0.635
O: 0.797 0.310 0.026
O: 0.251 0.308 0.502
O: 0.590 0.620 0.177
O: 0.452 0.954 0.364
O: 0.377 0.447 0.324
O: 0.751 0.685 0.501
O: 0.911 0.946 0.826
O: 0.953 0.906 0.359
O: 0.283 0.241 0.011
O: 0.123 0.624 0.677
O: 0.597 0.576 0.671
Mn: 0.501 0.504 0.001
Mn: 0.169 0.171 0.340
Mn: 0.829 0.828 0.660
Mn: 0.332 0.330 0.663
Mn: 0.668 0.670 0.337
Sn: 0.999 0.001 0.000
La: 0.412 0.914 0.819
La: 0.750 0.249 0.500
La: 0.249 0.742 0.500
La: 0.087 0.590 0.180


The following is a PBE+U calculation of a geometry-optimized BaPr2Mn3O9 structure, from the Materials Project.

Properties
As for the space group: C2/m (12). The calculation puts the raw total energy at -227.5 eV for the cell shown. As for the magnetic moment: 11.0 μB per formula unit. The value obtained for the formation energy is -2.761 eV/atom.

a = 5.600 Å, b = 5.600 Å, c = 13.701 Å
α = 89.33°, β = 89.33°, γ = 59.81°
Atoms (fractional coordinates):
O: 0.858 0.357 0.069
O: 0.341 0.341 0.093
O: 0.659 0.659 0.907
O: 0.176 0.703 0.414
O: 0.357 0.858 0.069
O: 0.311 0.311 0.559
O: 0.531 0.010 0.734
O: 0.469 0.990 0.266
O: 0.142 0.643 0.931
O: 0.990 0.469 0.266
O: 0.643 0.142 0.931
O: 0.297 0.824 0.586
O: 0.970 0.970 0.223
O: 0.030 0.030 0.777
O: 0.010 0.531 0.734
O: 0.689 0.689 0.441
O: 0.824 0.297 0.586
O: 0.703 0.176 0.414
Pr: 0.824 0.824 0.076
Pr: 0.841 0.841 0.581
Pr: 0.159 0.159 0.419
Pr: 0.176 0.176 0.924
Mn: 0.831 0.831 0.333
Mn: 0.169 0.169 0.667
Mn: 0.837 0.837 0.830
Mn: 0.163 0.163 0.170
Mn: 0.500 0.500 0.000
Mn: 0.500 0.500 0.500
Ba: 0.494 0.494 0.250
Ba: 0.506 0.506 0.750


The following is a PBE+U calculation of a geometry-optimized Tb4Mo4O11 structure, from the Materials Project.

Properties
As for the space group: Pbam (55). The calculation puts the raw total energy at -589.7 eV for the cell shown. As for the magnetic moment: 0.0 μB per formula unit. The value obtained for the formation energy is -2.708 eV/atom.

a = 5.748 Å, b = 10.858 Å, c = 16.097 Å
α = 90.00°, β = 90.00°, γ = 90.00°
Atoms (fractional coordinates):
Tb: 0.000 0.617 0.577
Tb: 0.500 0.578 0.401
Tb: 0.500 0.422 0.599
Tb: 0.000 0.883 0.077
Tb: 0.000 0.098 0.237
Tb: 0.000 0.902 0.763
Tb: 0.000 0.402 0.737
Tb: 0.000 0.383 0.423
Tb: 0.500 0.316 0.277
Tb: 0.000 0.598 0.263
Tb: 0.500 0.922 0.901
Tb: 0.500 0.078 0.099
Tb: 0.500 0.184 0.777
Tb: 0.500 0.684 0.723
Tb: 0.000 0.117 0.923
Tb: 0.500 0.816 0.223
O: 0.755 0.500 0.500
O: 0.245 0.000 0.000
O: 0.737 0.726 0.326
O: 0.500 0.959 0.334
O: 0.237 0.311 0.861
O: 0.237 0.189 0.361
O: 0.247 0.461 0.327
O: 0.000 0.729 0.977
O: 0.500 0.746 0.986
O: 0.237 0.689 0.139
O: 0.245 0.500 0.500
O: 0.000 0.548 0.847
O: 0.000 0.771 0.477
O: 0.000 0.271 0.023
O: 0.247 0.039 0.827
O: 0.500 0.246 0.514
O: 0.000 0.952 0.347
O: 0.000 0.048 0.653
O: 0.763 0.311 0.861
O: 0.000 0.229 0.523
O: 0.247 0.539 0.673
O: 0.763 0.811 0.639
O: 0.263 0.226 0.174
O: 0.247 0.961 0.173
O: 0.500 0.254 0.014
O: 0.763 0.689 0.139
O: 0.263 0.274 0.674
O: 0.737 0.274 0.674
O: 0.753 0.539 0.673
O: 0.000 0.452 0.153
O: 0.500 0.459 0.166
O: 0.753 0.961 0.173
O: 0.753 0.461 0.327
O: 0.237 0.811 0.639
O: 0.753 0.039 0.827
O: 0.500 0.041 0.666
O: 0.763 0.189 0.361
O: 0.263 0.774 0.826
O: 0.263 0.726 0.326
O: 0.737 0.226 0.174
O: 0.500 0.754 0.486
O: 0.500 0.541 0.834
O: 0.755 0.000 0.000
O: 0.737 0.774 0.826
Mo: 0.000 0.083 0.440
Mo: 0.500 0.404 0.929
Mo: 0.500 0.596 0.071
Mo: 0.724 0.635 0.915
Mo: 0.500 0.904 0.571
Mo: 0.724 0.135 0.585
Mo: 0.000 0.417 0.940
Mo: 0.276 0.135 0.585
Mo: 0.276 0.635 0.915
Mo: 0.000 0.583 0.060
Mo: 0.276 0.365 0.085
Mo: 0.276 0.865 0.415
Mo: 0.724 0.865 0.415
Mo: 0.500 0.096 0.429
Mo: 0.724 0.365 0.085
Mo: 0.000 0.917 0.560


The following is a PBE+U calculation of a geometry-optimized Mg6CrCuO8 structure, from the Materials Project.

Properties
As for the space group: P4/mmm (123). The calculation puts the raw total energy at -97.7 eV for the cell shown. As for the magnetic moment: 3.6 μB per formula unit. The value obtained for the formation energy is -2.643 eV/atom.

a = 8.740 Å, b = 4.234 Å, c = 4.234 Å
α = 90.00°, β = 90.00°, γ = 90.00°
Atoms (fractional coordinates):
O: 0.500 0.000 0.500
O: 0.269 0.000 0.000
O: 0.731 0.000 0.000
O: 0.750 0.500 0.500
O: 0.500 0.500 0.000
O: 0.000 0.500 0.000
O: 0.000 0.000 0.500
O: 0.250 0.500 0.500
Cu: 0.000 0.000 0.000
Mg: 0.756 0.500 0.000
Mg: 0.500 0.500 0.500
Mg: 0.756 0.000 0.500
Mg: 0.244 0.500 0.000
Mg: 0.244 0.000 0.500
Mg: 0.000 0.500 0.500
Cr: 0.500 0.000 0.000


The following is a PBE+U calculation of a geometry-optimized Li3Fe3P4O16 structure, from the Materials Project.

Properties
As for the space group: P1 (1). The calculation puts the raw total energy at -531.4 eV for the cell shown. As for the magnetic moment: 15.0 μB per formula unit. The value obtained for the formation energy is -2.420 eV/atom.

a = 8.258 Å, b = 8.893 Å, c = 13.544 Å
α = 95.72°, β = 90.08°, γ = 90.06°
Atoms (fractional coordinates):
O: 0.578 0.417 0.558
O: 0.574 0.757 0.897
O: 0.426 0.578 0.436
O: 0.852 0.973 0.920
O: 0.863 0.654 0.890
O: 0.281 0.308 0.945
O: 0.637 0.486 0.223
O: 0.215 0.139 0.279
O: 0.129 0.354 0.114
O: 0.079 0.747 0.106
O: 0.148 0.023 0.080
O: 0.792 0.533 0.389
O: 0.572 0.082 0.232
O: 0.366 0.853 0.405
O: 0.930 0.246 0.896
O: 0.916 0.924 0.565
O: 0.647 0.141 0.583
O: 0.372 0.524 0.779
O: 0.863 0.979 0.218
O: 0.347 0.522 0.081
O: 0.071 0.085 0.434
O: 0.151 0.688 0.747
O: 0.925 0.589 0.229
O: 0.651 0.807 0.256
O: 0.084 0.411 0.768
O: 0.423 0.916 0.774
O: 0.153 0.359 0.411
O: 0.867 0.314 0.262
O: 0.353 0.192 0.750
O: 0.633 0.482 0.927
O: 0.368 0.855 0.114
O: 0.795 0.189 0.057
O: 0.137 0.680 0.444
O: 0.851 0.646 0.586
O: 0.294 0.976 0.611
O: 0.639 0.146 0.889
O: 0.705 0.357 0.721
O: 0.134 0.020 0.778
O: 0.363 0.186 0.448
O: 0.215 0.804 0.947
O: 0.629 0.810 0.553
O: 0.782 0.859 0.721
O: 0.716 0.027 0.387
O: 0.416 0.244 0.102
O: 0.709 0.699 0.055
O: 0.290 0.635 0.278
O: 0.866 0.312 0.555
O: 0.219 0.475 0.611
Li: 0.975 0.174 0.162
Li: 0.146 0.894 0.510
Li: 0.003 0.512 0.493
Li: 0.647 0.274 0.155
Li: 0.523 0.337 0.831
Li: 0.506 0.652 0.171
Li: 0.992 0.822 0.835
Li: 0.478 0.993 0.504
Li: 0.852 0.437 0.825
P: 0.204 0.521 0.724
P: 0.202 0.858 0.059
P: 0.807 0.145 0.947
P: 0.698 0.978 0.276
P: 0.197 0.188 0.390
P: 0.797 0.813 0.609
P: 0.703 0.639 0.942
P: 0.300 0.026 0.721
P: 0.700 0.308 0.612
P: 0.798 0.472 0.276
P: 0.296 0.354 0.057
P: 0.297 0.695 0.391
Fe: 0.358 0.073 0.172
Fe: 0.352 0.735 0.838
Fe: 0.854 0.098 0.495
Fe: 0.143 0.235 0.837
Fe: 0.844 0.764 0.162
Fe: 0.651 0.599 0.493
Fe: 0.654 0.935 0.832
Fe: 0.149 0.565 0.174
Fe: 0.349 0.401 0.501


The following is a PBE+U calculation of a geometry-optimized NiI2O10 structure, from the Materials Project.

Properties
As for the space group: P2_1/c (14). The calculation puts the raw total energy at -101.6 eV for the cell shown. As for the magnetic moment: 6.0 μB per formula unit. The value obtained for the formation energy is -0.145 eV/atom.

a = 6.270 Å, b = 7.491 Å, c = 8.193 Å
α = 96.42°, β = 90.00°, γ = 90.00°
Atoms (fractional coordinates):
O: 0.592 0.896 0.680
O: 0.876 0.352 0.761
O: 0.575 0.766 0.435
O: 0.425 0.234 0.565
O: 0.408 0.104 0.320
O: 0.124 0.648 0.239
O: 0.092 0.104 0.820
O: 0.931 0.669 0.552
O: 0.624 0.352 0.261
O: 0.719 0.087 0.994
O: 0.431 0.331 0.948
O: 0.925 0.766 0.935
O: 0.569 0.669 0.052
O: 0.075 0.234 0.065
O: 0.069 0.331 0.448
O: 0.219 0.913 0.506
O: 0.781 0.087 0.494
O: 0.376 0.648 0.739
O: 0.908 0.896 0.180
O: 0.281 0.913 0.006
I: 0.803 0.342 0.542
I: 0.303 0.658 0.958
I: 0.697 0.342 0.042
I: 0.197 0.658 0.458
Ni: 0.000 0.000 0.000
Ni: 0.500 0.000 0.500